Li4FeSi2O7: optimized geometry, PBE+U.

The energy above the most stable polymorph in this dataset comes out at 0.00 kcal/mol of atoms. For the density, the calculation gives 2.8 g/cm3. As for the total moment: 0.0000 μB per atom. The formation energy comes out at -2.69 eV per atom.

a b c (Å): 7.2293 8.1365 10.5978
angles (deg): 87.01 73.09 85.66
Element x y z (fractional)
Li 0.3507 0.5932 0.2349
O 0.3219 0.1405 0.2315
Si 0.3815 0.2381 0.3462
Li 0.0278 0.0932 0.5578
O 0.0077 0.6408 0.5450
Li 0.4018 0.0218 0.5925
Li 0.0545 0.8756 0.7917
Li 0.7148 0.3756 0.1314
Si 0.7761 0.1713 0.3717
O 0.6754 0.9032 0.1034
Fe 0.6428 0.2974 0.6572
Si 0.4458 0.6711 0.7023
Li 0.5896 0.5218 0.4046
Fe 0.8069 0.7976 0.4928
Li 0.6573 0.9467 0.7887
O 0.7582 0.7069 0.3312
O 0.3649 0.6055 0.5788
O 0.4001 0.0219 0.9265
Li 0.9017 0.0217 0.0925
O 0.5900 0.5217 0.7369
Li 0.2148 0.3756 0.6314
Fe 0.3068 0.7982 0.9928
Li 0.1574 0.9467 0.2887
O 0.8219 0.1407 0.7314
O 0.8650 0.6054 0.0788
Li 0.5545 0.8756 0.2917
O 0.0693 0.8360 0.1501
O 0.9934 0.4031 0.7859
Li 0.5117 0.4467 0.9343
O 0.0900 0.5218 0.2370
O 0.8115 0.7713 0.8611
Si 0.2762 0.1713 0.8717
Fe 0.1421 0.2979 0.1570
Si 0.7098 0.7381 0.0176
O 0.3759 0.2069 0.7135
O 0.7597 0.3361 0.4596
O 0.2583 0.7070 0.8313
Li 0.0896 0.5218 0.9046
O 0.5693 0.8361 0.6501
O 0.5078 0.6404 0.0449
Li 0.5277 0.0933 0.0579
O 0.5505 0.1051 0.3935
Li 0.0117 0.4467 0.4343
Si 0.2099 0.7382 0.5176
Li 0.8506 0.5932 0.7349
O 0.9000 0.0219 0.4266
O 0.6970 0.2715 0.9749
O 0.4934 0.4030 0.2859
O 0.3115 0.7713 0.3611
Si 0.9458 0.6711 0.2023
Si 0.8816 0.2382 0.8462
O 0.8760 0.2069 0.2134
O 0.0505 0.1051 0.8935
O 0.2598 0.3361 0.9596
O 0.1970 0.2715 0.4749
O 0.1754 0.9032 0.6035

***

MgV4Co2O12: optimized geometry, PBE+U.

For the density, the calculation gives 3.2 g/cm3. As for the total moment: 0.4211 μB per atom. The formation energy comes out at -2.18 eV per atom.

a b c (Å): 7.8774 7.8774 5.6648
angles (deg): 62.25 117.75 101.72
Element x y z (fractional)
O 0.2149 0.9694 0.0503
V 0.6323 0.2487 0.6504
Co 0.9240 0.9240 0.7500
V 0.8209 0.4194 0.1783
O 0.6153 0.3538 0.2866
Co 0.8281 0.8281 0.2500
O 0.7838 0.0424 0.8612
O 0.6618 0.8848 0.3800
O 0.3538 0.6153 0.2134
V 0.2487 0.6323 0.8496
V 0.4194 0.8209 0.3217
O 0.0424 0.7838 0.6388
O 0.4086 0.7290 0.6854
O 0.4147 0.1819 0.6500
O 0.7290 0.4086 0.8146
O 0.1819 0.4147 0.8500
O 0.9694 0.2149 0.4497
Mg 0.2271 0.2271 0.7500
O 0.8848 0.6618 0.1200

***

Sr4MgMn4O10: optimized geometry, PBE+U.

The energy above the most stable polymorph in this dataset comes out at 0.00 kcal/mol of atoms. For the density, the calculation gives 4.7 g/cm3. As for the total moment: 0.9477 μB per atom. The formation energy comes out at -2.50 eV per atom.

a b c (Å): 5.5958 5.6063 9.3947
angles (deg): 106.80 106.77 91.80
Element x y z (fractional)
Mn 0.0301 0.0087 0.0146
O 0.1530 0.1192 0.2777
Sr 0.1185 0.6057 0.2016
Mg 0.9844 0.5770 0.5001
Sr 0.4169 0.9041 0.7984
O 0.2964 0.7869 0.5001
Sr 0.6270 0.1200 0.2086
O 0.7722 0.2485 0.9944
O 0.3755 0.3424 0.7222
Sr 0.9182 0.4117 0.7914
O 0.8534 0.2303 0.5001
O 0.7679 0.7496 0.9924
O 0.7289 0.6233 0.3139
Mn 0.6587 0.8883 0.5000
Mn 0.2029 0.1414 0.5001
O 0.9151 0.8095 0.6863
O 0.2753 0.2569 0.0075
Mn 0.5154 0.4940 0.9851
O 0.2777 0.7538 0.0055